*a*
Entry from the Materials Project: a relaxed La2P4O13 crystal (r2SCAN).

```
La2P4O13
1.0
6.061 -3.502 0.000
6.061 3.502 0.000
-3.613 0.000 12.853
La P O
4 8 26
Direct
0.183 0.190 0.051 La
0.190 0.183 0.551 La
0.810 0.817 0.449 La
0.817 0.810 0.949 La
0.256 0.278 0.341 P
0.278 0.256 0.841 P
0.340 0.645 0.138 P
0.355 0.660 0.362 P
0.645 0.340 0.638 P
0.660 0.355 0.862 P
0.722 0.744 0.159 P
0.744 0.722 0.659 P
0.063 0.422 0.403 O
0.087 0.421 0.902 O
0.180 0.819 0.431 O
0.181 0.820 0.069 O
0.192 0.207 0.229 O
0.207 0.192 0.729 O
0.260 0.740 0.250 O
0.369 0.416 0.104 O
0.380 0.419 0.343 O
0.416 0.369 0.604 O
0.419 0.380 0.843 O
0.421 0.087 0.402 O
0.422 0.063 0.903 O
0.578 0.937 0.097 O
0.579 0.913 0.598 O
0.581 0.620 0.157 O
0.584 0.631 0.396 O
0.620 0.581 0.657 O
0.631 0.584 0.896 O
0.740 0.260 0.750 O
0.793 0.808 0.271 O
0.808 0.793 0.771 O
0.819 0.180 0.931 O
0.820 0.181 0.569 O
0.913 0.579 0.098 O
0.937 0.578 0.597 O
```

Summary:
Theoretical density ... 3.71 g/cm³

***

*b*
Entry from the Materials Project: a relaxed La2P4O13 crystal (r2SCAN).

```
La2P4O13
1.0
3.663 -8.987 0.000
3.663 8.987 0.000
0.000 0.000 8.858
La P O
4 8 26
Direct
0.103 0.395 0.360 La
0.395 0.103 0.640 La
0.605 0.897 0.140 La
0.897 0.605 0.860 La
0.099 0.415 0.999 P
0.143 0.270 0.736 P
0.270 0.143 0.264 P
0.415 0.099 0.001 P
0.585 0.901 0.501 P
0.730 0.857 0.764 P
0.857 0.730 0.236 P
0.901 0.585 0.499 P
0.032 0.479 0.895 O
0.066 0.767 0.593 O
0.089 0.911 0.250 O
0.177 0.401 0.617 O
0.198 0.365 0.898 O
0.204 0.240 0.285 O
0.233 0.934 0.907 O
0.240 0.204 0.715 O
0.261 0.572 0.110 O
0.365 0.198 0.102 O
0.401 0.177 0.383 O
0.428 0.739 0.390 O
0.479 0.032 0.105 O
0.521 0.968 0.605 O
0.572 0.261 0.890 O
0.599 0.823 0.883 O
0.635 0.802 0.602 O
0.739 0.428 0.610 O
0.760 0.796 0.215 O
0.767 0.066 0.407 O
0.796 0.760 0.785 O
0.802 0.635 0.398 O
0.823 0.599 0.117 O
0.911 0.089 0.750 O
0.934 0.233 0.093 O
0.968 0.521 0.395 O
```

Summary:
Theoretical density ... 3.47 g/cm³

***

*b* is the least stable structure shown above.